A relaxed Nb4Co4Si7 crystal. Source: the Materials Project database, functional PBE.

```
30
Lattice="-6.2953 6.2953 2.5092 6.2953 -6.2953 2.5092 6.2953 6.2953 -2.5092" Properties=species:S:1:pos:R:3 pbc="T T T"
Nb 2.4048 0.0000 0.0000
Nb 10.1859 0.0000 0.0000
Nb 0.0000 2.4048 0.0000
Nb 4.6100 4.6100 0.0000
Nb 1.6853 -1.6853 2.5092
Nb 4.6100 7.9806 0.0000
Nb 1.6853 1.6853 2.5092
Nb 0.0000 10.1859 0.0000
Co 4.4222 -1.8732 1.2546
Co 8.1685 -1.8732 1.2546
Co 4.4222 1.8732 1.2546
Co 8.1685 1.8732 1.2546
Co -1.8732 4.4221 1.2546
Co 1.8732 4.4222 1.2546
Co -1.8732 8.1685 1.2546
Co 1.8732 8.1685 1.2546
Si 5.1153 0.0000 0.0000
Si 7.4754 0.0000 0.0000
Si 6.2953 2.5550 0.0000
Si 2.6243 2.6243 0.0000
Si 3.6710 -3.6710 2.5092
Si 0.0000 0.0000 1.2591
Si 0.0000 5.1153 0.0000
Si 2.5550 6.2953 0.0000
Si 3.7403 0.0000 2.5092
Si 0.0000 7.4754 0.0000
Si 0.0000 0.0000 3.7592
Si -3.6710 3.6710 2.5092
Si 3.6710 3.6710 2.5092
Si 0.0000 3.7403 2.5092
```

* space group: I4/mmm (139)
* energy relative to the elements: -0.6544 eV/atom